MgSiO3: optimized geometry, PBE-GGA.

Output
Calculated formation energy (eV/atom): -3.129
Total magnetic moment (Bohr magnetons per cell): 0.00

Cell: 9.3805 9.0614 5.2633 Å, 90.00 99.40 90.00°
Positions (direct):
1 Mg 0.2193 0.1561 0.4148
2 Mg 0.2193 0.3439 0.9148
3 Mg 0.2676 0.5087 0.4206
4 Mg 0.2676 0.9913 0.9206
5 Mg 0.7324 0.0087 0.0794
6 Mg 0.7324 0.4913 0.5794
7 Mg 0.7807 0.6561 0.0852
8 Mg 0.7807 0.8439 0.5852
9 Si 0.0690 0.6661 0.8235
10 Si 0.0690 0.8339 0.3235
11 Si 0.4813 0.2133 0.6949
12 Si 0.4813 0.2867 0.1949
13 Si 0.5187 0.7133 0.8051
14 Si 0.5187 0.7867 0.3051
15 Si 0.9310 0.1661 0.6765
16 Si 0.9310 0.3339 0.1765
17 O 0.1075 0.1572 0.7235
18 O 0.1075 0.3428 0.2235
19 O 0.1176 0.6882 0.1495
20 O 0.1176 0.8118 0.6495
21 O 0.1522 0.5288 0.7235
22 O 0.1522 0.9712 0.2235
23 O 0.3464 0.1695 0.1406
24 O 0.3464 0.3305 0.6406
25 O 0.3981 0.0560 0.6675
26 O 0.3981 0.4440 0.1675
27 O 0.4128 0.7323 0.5181
28 O 0.4128 0.7677 0.0181
29 O 0.5872 0.2323 0.9819
30 O 0.5872 0.2677 0.4819
31 O 0.6019 0.5560 0.8325
32 O 0.6019 0.9440 0.3325
33 O 0.6536 0.6695 0.3594
34 O 0.6536 0.8305 0.8594
35 O 0.8478 0.0288 0.7765
36 O 0.8478 0.4712 0.2765
37 O 0.8824 0.1882 0.3505
38 O 0.8824 0.3118 0.8505
39 O 0.8925 0.6572 0.7765
40 O 0.8925 0.8428 0.2765

MgSiO3: optimized geometry, PBE-GGA.

Output
Calculated formation energy (eV/atom): -3.226
Total magnetic moment (Bohr magnetons per cell): 0.00

Cell: 5.3311 8.9209 18.7078 Å, 90.00 90.00 90.00°
Positions (direct):
1 Mg 0.0344 0.2410 0.2481
2 Mg 0.0352 0.5999 0.2494
3 Mg 0.0951 0.7434 0.5000
4 Mg 0.0972 0.1014 0.4979
5 Mg 0.4028 0.1014 0.9979
6 Mg 0.4049 0.7434 0.0000
7 Mg 0.4648 0.5999 0.7494
8 Mg 0.4656 0.2410 0.7481
9 Mg 0.5344 0.7590 0.2481
10 Mg 0.5352 0.4001 0.2494
11 Mg 0.5951 0.2566 0.5000
12 Mg 0.5972 0.8986 0.4979
13 Mg 0.9028 0.8986 0.9979
14 Mg 0.9049 0.2566 0.0000
15 Mg 0.9648 0.4001 0.7494
16 Mg 0.9656 0.7590 0.7481
17 Si 0.0695 0.0886 0.8507
18 Si 0.1235 0.5880 0.8952
19 Si 0.2002 0.4109 0.1028
20 Si 0.2316 0.9108 0.1463
21 Si 0.2684 0.9108 0.6463
22 Si 0.2998 0.4109 0.6028
23 Si 0.3765 0.5880 0.3952
24 Si 0.4305 0.0886 0.3507
25 Si 0.5695 0.9114 0.8507
26 Si 0.6235 0.4120 0.8952
27 Si 0.7002 0.5891 0.1028
28 Si 0.7316 0.0892 0.1463
29 Si 0.7684 0.0892 0.6463
30 Si 0.7998 0.5891 0.6028
31 Si 0.8765 0.4120 0.3952
32 Si 0.9305 0.9114 0.3507
33 O 0.0134 0.0301 0.1762
34 O 0.0735 0.0922 0.9384
35 O 0.0832 0.5318 0.5746
36 O 0.0863 0.5387 0.4218
37 O 0.0891 0.7401 0.9398
38 O 0.1272 0.5912 0.8079
39 O 0.1519 0.2385 0.8083
40 O 0.2068 0.4083 0.1899
41 O 0.2147 0.7530 0.1872
42 O 0.2198 0.9597 0.3244
43 O 0.2213 0.2551 0.0601
44 O 0.2283 0.9107 0.0591
45 O 0.2717 0.9107 0.5591
46 O 0.2787 0.2551 0.5601
47 O 0.2802 0.9597 0.8244
48 O 0.2853 0.7530 0.6872
49 O 0.2932 0.4083 0.6899
50 O 0.3481 0.2385 0.3083
51 O 0.3728 0.5912 0.3079
52 O 0.4109 0.7401 0.4398
53 O 0.4137 0.5387 0.9218
54 O 0.4168 0.5318 0.0746
55 O 0.4265 0.0922 0.4384
56 O 0.4866 0.0301 0.6762
57 O 0.5134 0.9699 0.1762
58 O 0.5735 0.9078 0.9384
59 O 0.5832 0.4682 0.5746
60 O 0.5863 0.4613 0.4218
61 O 0.5891 0.2599 0.9398
62 O 0.6272 0.4088 0.8079
63 O 0.6519 0.7615 0.8083
64 O 0.7068 0.5917 0.1899
65 O 0.7147 0.2470 0.1872
66 O 0.7198 0.0403 0.3244
67 O 0.7213 0.7449 0.0601
68 O 0.7283 0.0893 0.0591
69 O 0.7717 0.0893 0.5591
70 O 0.7787 0.7449 0.5601
71 O 0.7802 0.0403 0.8244
72 O 0.7853 0.2470 0.6872
73 O 0.7932 0.5917 0.6899
74 O 0.8481 0.7615 0.3083
75 O 0.8728 0.4088 0.3079
76 O 0.9109 0.2599 0.4398
77 O 0.9137 0.4613 0.9218
78 O 0.9168 0.4682 0.0746
79 O 0.9265 0.9078 0.4384
80 O 0.9866 0.9699 0.6762

MgSiO3: optimized geometry, PBE-GGA.

Output
Calculated formation energy (eV/atom): -2.835
Total magnetic moment (Bohr magnetons per cell): 0.00

Cell: 6.2441 6.2441 7.0410 Å, 108.76 108.76 58.46°
Positions (direct):
1 Mg 0.2295 0.7705 0.7500
2 Mg 0.2507 0.7493 0.2500
3 Mg 0.7493 0.2507 0.7500
4 Mg 0.7705 0.2295 0.2500
5 Si 0.2096 0.3146 0.3320
6 Si 0.3146 0.2096 0.8320
7 Si 0.6854 0.7904 0.1680
8 Si 0.7904 0.6854 0.6680
9 O 0.1048 0.1683 0.8862
10 O 0.1161 0.5063 0.7631
11 O 0.1683 0.1048 0.3862
12 O 0.2656 0.5562 0.4489
13 O 0.4438 0.7344 0.0511
14 O 0.4937 0.8839 0.7369
15 O 0.5063 0.1161 0.2631
16 O 0.5562 0.2656 0.9489
17 O 0.7344 0.4438 0.5511
18 O 0.8317 0.8952 0.6138
19 O 0.8839 0.4937 0.2369
20 O 0.8952 0.8317 0.1138

Mg4Si6O23: optimized geometry, PBE-GGA.

Output
Calculated formation energy (eV/atom): -2.040
Total magnetic moment (Bohr magnetons per cell): 16.00

Cell: 5.2845 13.5694 27.8864 Å, 90.00 90.00 90.00°
Positions (direct):
1 Mg 0.2500 0.0000 0.0220
2 Mg 0.2500 0.0000 0.1549
3 Mg 0.2500 0.0000 0.8011
4 Mg 0.2500 0.0000 0.9115
5 Mg 0.2500 0.5000 0.3451
6 Mg 0.2500 0.5000 0.4780
7 Mg 0.2500 0.5000 0.5885
8 Mg 0.2500 0.5000 0.6989
9 Mg 0.7500 0.0000 0.0885
10 Mg 0.7500 0.0000 0.1989
11 Mg 0.7500 0.0000 0.8451
12 Mg 0.7500 0.0000 0.9780
13 Mg 0.7500 0.5000 0.3011
14 Mg 0.7500 0.5000 0.4115
15 Mg 0.7500 0.5000 0.5220
16 Mg 0.7500 0.5000 0.6549
17 Si 0.0696 0.2079 0.1958
18 Si 0.0696 0.2921 0.3042
19 Si 0.0782 0.2063 0.8594
20 Si 0.0782 0.2937 0.6406
21 Si 0.0859 0.2046 0.9713
22 Si 0.0859 0.2954 0.5287
23 Si 0.4141 0.7046 0.5287
24 Si 0.4141 0.7954 0.9713
25 Si 0.4218 0.7063 0.6406
26 Si 0.4218 0.7937 0.8594
27 Si 0.4304 0.7079 0.3042
28 Si 0.4304 0.7921 0.1958
29 Si 0.5696 0.2079 0.8042
30 Si 0.5696 0.2921 0.6958
31 Si 0.5782 0.2063 0.1406
32 Si 0.5782 0.2937 0.3594
33 Si 0.5859 0.2046 0.0287
34 Si 0.5859 0.2954 0.4713
35 Si 0.9141 0.7046 0.4713
36 Si 0.9141 0.7954 0.0287
37 Si 0.9218 0.7063 0.3594
38 Si 0.9218 0.7937 0.1406
39 Si 0.9304 0.7079 0.6958
40 Si 0.9304 0.7921 0.8042
41 O 0.0551 0.0883 0.1971
42 O 0.0551 0.4117 0.3029
43 O 0.0794 0.2500 0.2500
44 O 0.0852 0.2426 0.9157
45 O 0.0852 0.2574 0.5843
46 O 0.0929 0.0532 0.7294
47 O 0.0929 0.4468 0.7706
48 O 0.0938 0.0852 0.8555
49 O 0.0938 0.4148 0.6445
50 O 0.0967 0.0831 0.9709
51 O 0.0967 0.4169 0.5291
52 O 0.1580 0.5280 0.9190
53 O 0.1580 0.9720 0.5810
54 O 0.1620 0.0451 0.0876
55 O 0.1620 0.4549 0.4124
56 O 0.1650 0.7448 0.4996
57 O 0.1650 0.7552 0.0004
58 O 0.1785 0.7452 0.8317
59 O 0.1785 0.7548 0.6683
60 O 0.1801 0.7457 0.3338
61 O 0.1801 0.7543 0.1662
62 O 0.2500 0.0000 0.4853
63 O 0.2500 0.0000 0.7037
64 O 0.2500 0.5000 0.0147
65 O 0.2500 0.5000 0.7963
66 O 0.3199 0.2457 0.1662
67 O 0.3199 0.2543 0.3338
68 O 0.3215 0.2452 0.6683
69 O 0.3215 0.2548 0.8317
70 O 0.3350 0.2448 0.0004
71 O 0.3350 0.2552 0.4996
72 O 0.3380 0.5451 0.4124
73 O 0.3380 0.9549 0.0876
74 O 0.3420 0.0280 0.5810
75 O 0.3420 0.4720 0.9190
76 O 0.4033 0.5831 0.5291
77 O 0.4033 0.9169 0.9709
78 O 0.4062 0.5852 0.6445
79 O 0.4062 0.9148 0.8555
80 O 0.4071 0.5532 0.7706
81 O 0.4071 0.9468 0.7294
82 O 0.4148 0.7426 0.5843
83 O 0.4148 0.7574 0.9157
84 O 0.4206 0.7500 0.2500
85 O 0.4449 0.5883 0.3029
86 O 0.4449 0.9117 0.1971
87 O 0.5551 0.0883 0.8029
88 O 0.5551 0.4117 0.6971
89 O 0.5794 0.2500 0.7500
90 O 0.5852 0.2426 0.0843
91 O 0.5852 0.2574 0.4157
92 O 0.5929 0.0532 0.2706
93 O 0.5929 0.4468 0.2294
94 O 0.5938 0.0852 0.1445
95 O 0.5938 0.4148 0.3555
96 O 0.5967 0.0831 0.0291
97 O 0.5967 0.4169 0.4709
98 O 0.6580 0.5280 0.0810
99 O 0.6580 0.9720 0.4190
100 O 0.6620 0.0451 0.9124
101 O 0.6620 0.4549 0.5876
102 O 0.6650 0.7448 0.5004
103 O 0.6650 0.7552 0.9996
104 O 0.6785 0.7452 0.1683
105 O 0.6785 0.7548 0.3317
106 O 0.6801 0.7457 0.6662
107 O 0.6801 0.7543 0.8338
108 O 0.7500 0.0000 0.2963
109 O 0.7500 0.0000 0.5147
110 O 0.7500 0.5000 0.2037
111 O 0.7500 0.5000 0.9853
112 O 0.8199 0.2457 0.8338
113 O 0.8199 0.2543 0.6662
114 O 0.8215 0.2452 0.3317
115 O 0.8215 0.2548 0.1683
116 O 0.8350 0.2448 0.9996
117 O 0.8350 0.2552 0.5004
118 O 0.8380 0.5451 0.5876
119 O 0.8380 0.9549 0.9124
120 O 0.8420 0.0280 0.4190
121 O 0.8420 0.4720 0.0810
122 O 0.9033 0.5831 0.4709
123 O 0.9033 0.9169 0.0291
124 O 0.9062 0.5852 0.3555
125 O 0.9062 0.9148 0.1445
126 O 0.9071 0.5532 0.2294
127 O 0.9071 0.9468 0.2706
128 O 0.9148 0.7426 0.4157
129 O 0.9148 0.7574 0.0843
130 O 0.9206 0.7500 0.7500
131 O 0.9449 0.5883 0.6971
132 O 0.9449 0.9117 0.8029

Mg3SiO4: optimized geometry, PBE-GGA.

Output
Calculated formation energy (eV/atom): -2.424
Total magnetic moment (Bohr magnetons per cell): 0.00

Cell: 4.3663 4.3663 4.3663 Å, 90.00 90.00 90.00°
Positions (direct):
1 Mg 0.0000 0.0000 0.5000
2 Mg 0.0000 0.5000 0.0000
3 Mg 0.5000 0.0000 0.0000
4 Si 0.5000 0.5000 0.5000
5 O 0.0000 0.0000 0.0000
6 O 0.0000 0.5000 0.5000
7 O 0.5000 0.0000 0.5000
8 O 0.5000 0.5000 0.0000

Mg2SiO4: optimized geometry, PBE-GGA.

Output
Calculated formation energy (eV/atom): -3.068
Total magnetic moment (Bohr magnetons per cell): 0.00

Cell: 5.8325 5.8325 5.8325 Å, 121.25 119.76 89.13°
Positions (direct):
1 Mg 0.0000 0.0000 0.0000
2 Mg 0.3595 0.6095 0.7500
3 Mg 0.5000 0.0000 0.5000
4 Mg 0.6405 0.3905 0.2500
5 Si 0.0000 0.0000 0.5000
6 Si 0.0000 0.5000 0.0000
7 O 0.2103 0.1992 0.4889
8 O 0.2103 0.7215 0.0111
9 O 0.2131 0.7490 0.4641
10 O 0.2152 0.2510 0.9641
11 O 0.7848 0.7490 0.0359
12 O 0.7869 0.2510 0.5359
13 O 0.7897 0.2785 0.9889
14 O 0.7897 0.8008 0.5111

Copy entry 5 word for word.
Mg3SiO4: optimized geometry, PBE-GGA.

Output
Calculated formation energy (eV/atom): -2.424
Total magnetic moment (Bohr magnetons per cell): 0.00

Cell: 4.3663 4.3663 4.3663 Å, 90.00 90.00 90.00°
Positions (direct):
1 Mg 0.0000 0.0000 0.5000
2 Mg 0.0000 0.5000 0.0000
3 Mg 0.5000 0.0000 0.0000
4 Si 0.5000 0.5000 0.5000
5 O 0.0000 0.0000 0.0000
6 O 0.0000 0.5000 0.5000
7 O 0.5000 0.0000 0.5000
8 O 0.5000 0.5000 0.0000